[1]
A relaxed TiZn3 crystal, computed with PBE.

Properties
* DFT formation energy: -0.20 eV per atom
* V: 60.5 Å³/cell

The structure in CIF format:
```
data_TiZn3
_space_group_name_H-M_alt 'P 1'
_space_group_IT_number 1
_cell_length_a 3.9261
_cell_length_b 3.9261
_cell_length_c 3.9261
_cell_angle_alpha 90.00
_cell_angle_beta 90.00
_cell_angle_gamma 90.00
loop_
_space_group_symop_operation_xyz
'x,y,z'
loop_
_atom_site_label
_atom_site_type_symbol
_atom_site_fract_x
_atom_site_fract_y
_atom_site_fract_z
Zn1 Zn 0.5000 0.0000 0.5000
Zn2 Zn 0.0000 0.5000 0.5000
Zn3 Zn 0.5000 0.5000 0.0000
Ti1 Ti 0.0000 0.0000 0.0000
```


[2]
A relaxed Tm3Ga2Ge3 crystal, computed with PBE.

Properties
* DFT formation energy: -0.68 eV per atom
* V: 329.3 Å³/cell

The structure in CIF format:
```
data_Tm3Ga2Ge3
_space_group_name_H-M_alt 'P 1'
_space_group_IT_number 1
_cell_length_a 7.7385
_cell_length_b 7.7385
_cell_length_c 7.7385
_cell_angle_alpha 119.67
_cell_angle_beta 119.67
_cell_angle_gamma 90.57
loop_
_space_group_symop_operation_xyz
'x,y,z'
loop_
_atom_site_label
_atom_site_type_symbol
_atom_site_fract_x
_atom_site_fract_y
_atom_site_fract_z
Ge1 Ge 0.0405 0.5405 0.2079
Ge2 Ge 0.4943 0.4943 0.0000
Ge3 Ge 0.8326 0.0405 0.5000
Ge4 Ge 0.5405 0.3326 0.5000
Ge5 Ge 0.3326 0.8326 0.7921
Ge6 Ge 0.9943 0.9943 0.0000
Ga1 Ga 0.6769 0.1769 0.2207
Ga2 Ga 0.4562 0.6769 0.5000
Ga3 Ga 0.9562 0.4562 0.7793
Ga4 Ga 0.1769 0.9562 0.5000
Tm1 Tm 0.2453 0.2453 0.0000
Tm2 Tm 0.1628 0.3415 0.5000
Tm3 Tm 0.3415 0.8415 0.1787
Tm4 Tm 0.7453 0.7453 0.0000
Tm5 Tm 0.6628 0.1628 0.8213
Tm6 Tm 0.8415 0.6628 0.5000
```